No. 1
## Ba2HoCl7 (r²SCAN)

Data for a relaxed Ba2HoCl7 crystal.

a = 6.8510 Å, b = 15.6086 Å, c = 10.5787 Å
α = 90.00°, β = 90.58°, γ = 90.00°
Last column: nearest neighbours and their distance in Å.
Positions (direct):
Ba 0.2350 0.0608 0.3236  9 Cl 3.10-3.36
Ba 0.2350 0.4392 0.8236  9 Cl 3.10-3.36
Ba 0.2353 0.7201 0.4512  9 Cl 3.10-3.33
Ba 0.2353 0.7799 0.9512  9 Cl 3.10-3.33
Ba 0.7647 0.2201 0.0488  9 Cl 3.10-3.33
Ba 0.7647 0.2799 0.5488  9 Cl 3.10-3.33
Ba 0.7650 0.5608 0.1764  9 Cl 3.10-3.36
Ba 0.7650 0.9392 0.6764  9 Cl 3.10-3.36
Ho 0.2829 0.1271 0.7818  7 Cl 2.66-2.78
Ho 0.2829 0.3729 0.2818  7 Cl 2.66-2.78
Ho 0.7171 0.6271 0.7182  7 Cl 2.66-2.78
Ho 0.7171 0.8729 0.2182  7 Cl 2.66-2.78
Cl 0.0121 0.2428 0.3016  1 Ho 2.76
Cl 0.0121 0.2572 0.8016  1 Ho 2.76
Cl 0.0137 0.1050 0.5862  1 Ho 2.78
Cl 0.0137 0.3950 0.0862  1 Ho 2.78
Cl 0.2056 0.5397 0.2875  1 Ho 2.66
Cl 0.2056 0.9603 0.7875  1 Ho 2.66
Cl 0.2091 0.1394 0.0277  1 Ho 2.66
Cl 0.2091 0.3606 0.5277  1 Ho 2.66
Cl 0.3720 0.5708 0.6237  1 Ho 2.70
Cl 0.3720 0.9292 0.1237  1 Ho 2.70
Cl 0.4988 0.2281 0.2947  1 Ho 2.70
Cl 0.4988 0.2719 0.7947  1 Ho 2.70
Cl 0.5002 0.1045 0.5715  1 Ho 2.71
Cl 0.5002 0.3955 0.0715  1 Ho 2.71
Cl 0.4998 0.6045 0.9285  1 Ho 2.71
Cl 0.4998 0.8955 0.4285  1 Ho 2.71
Cl 0.5012 0.7281 0.2053  1 Ho 2.70
Cl 0.5012 0.7719 0.7053  1 Ho 2.70
Cl 0.6280 0.0708 0.8763  1 Ho 2.70
Cl 0.6280 0.4292 0.3763  1 Ho 2.70
Cl 0.7909 0.6394 0.4723  1 Ho 2.66
Cl 0.7909 0.8606 0.9723  1 Ho 2.66
Cl 0.7944 0.0397 0.2125  1 Ho 2.66
Cl 0.7944 0.4603 0.7125  1 Ho 2.66
Cl 0.9863 0.6050 0.9138  1 Ho 2.78
Cl 0.9863 0.8950 0.4138  1 Ho 2.78
Cl 0.9879 0.7428 0.1984  1 Ho 2.76
Cl 0.9879 0.7572 0.6984  1 Ho 2.76

Computed properties:
electronic total energy: -624.414 eV for the cell shown
volume: 28.279 Å³ per atom
SG: P2_1/c
total magnetization: 0.0 μB per formula unit


No. 2
## Ba4WN4Cl2 (r²SCAN)

Data for a relaxed Ba4WN4Cl2 crystal.

a = 8.5337 Å, b = 6.2146 Å, c = 10.8650 Å
α = 90.00°, β = 98.92°, γ = 90.00°
Last column: nearest neighbours and their distance in Å.
Positions (direct):
Ba 0.0030 0.2500 0.3723  4 N 2.80-3.10
Ba 0.1856 0.7500 0.0898  2 N 2.64-2.69
Ba 0.2864 0.2500 0.7066  4 N 2.71-2.78
Ba 0.4454 0.2500 0.3776  4 N 2.82-3.15
Ba 0.5546 0.7500 0.6224  4 N 2.82-3.15
Ba 0.7136 0.7500 0.2934  4 N 2.71-2.78
Ba 0.8144 0.2500 0.9102  2 N 2.64-2.69
Ba 0.9970 0.7500 0.6277  4 N 2.80-3.10
W 0.2288 0.7500 0.3994  4 N 1.87-1.88
W 0.7712 0.2500 0.6006  4 N 1.87-1.88
N 0.0366 0.7500 0.2906  1 W 1.87
N 0.2456 0.5043 0.5016  1 W 1.88
N 0.2456 0.9957 0.5016  1 W 1.88
N 0.3895 0.7500 0.2996  1 W 1.88
N 0.6105 0.2500 0.7004  1 W 1.88
N 0.7544 0.0043 0.4984  1 W 1.88
N 0.7544 0.4957 0.4984  1 W 1.88
N 0.9634 0.2500 0.7094  1 W 1.87
Cl 0.1584 0.2500 0.0999  4 Ba 3.12-3.43
Cl 0.3254 0.7500 0.8339  5 Ba 3.19-3.40
Cl 0.6746 0.2500 0.1661  5 Ba 3.19-3.40
Cl 0.8416 0.7500 0.9001  4 Ba 3.12-3.43

Computed properties:
electronic total energy: -447.119 eV for the cell shown
volume: 25.874 Å³ per atom
SG: P2_1/m
total magnetization: 0.0 μB per formula unit


No. 3
## Ba5SiCl6O4 (r²SCAN)

Data for a relaxed Ba5SiCl6O4 crystal.

a = 8.8285 Å, b = 8.8285 Å, c = 11.8178 Å
α = 97.83°, β = 97.83°, γ = 114.69°
Last column: nearest neighbours and their distance in Å.
Positions (direct):
Ba 0.0752 0.2301 0.6333  2 O 2.63-2.71
Ba 0.2012 0.7988 0.7500  2 O 2.66
Ba 0.2301 0.0752 0.1333  2 O 2.63-2.71
Ba 0.3191 0.5741 0.0201  3 O 2.61-2.91
Ba 0.4259 0.6809 0.4799  3 O 2.61-2.91
Ba 0.5741 0.3191 0.5201  3 O 2.61-2.91
Ba 0.6809 0.4259 0.9799  3 O 2.61-2.91
Ba 0.7699 0.9248 0.8667  2 O 2.63-2.71
Ba 0.7988 0.2012 0.2500  2 O 2.66
Ba 0.9248 0.7699 0.3667  2 O 2.63-2.71
Si 0.4224 0.5776 0.7500  4 O 1.63-1.65
Si 0.5776 0.4224 0.2500  4 O 1.63-1.65
Cl 0.0000 0.5000 0.5000  6 Ba 3.27-3.47, 2 Cl 3.64, 2 O 3.65
Cl 0.0186 0.7180 0.9506  3 Ba 3.05-3.20
Cl 0.1473 0.2042 0.3678  4 Ba 3.15-3.50, 2 O 3.41-3.49, 1 Cl 3.51
Cl 0.2042 0.1473 0.8678  4 Ba 3.15-3.50, 2 O 3.41-3.49, 1 Cl 3.51
Cl 0.2412 0.7588 0.2500  4 Ba 3.28-3.31
Cl 0.2820 0.9814 0.5494  3 Ba 3.05-3.20
Cl 0.5000 0.0000 0.0000  6 Ba 3.27-3.47, 2 Cl 3.64, 2 O 3.65
Cl 0.7180 0.0186 0.4506  3 Ba 3.05-3.20
Cl 0.7588 0.2412 0.7500  4 Ba 3.28-3.31
Cl 0.7958 0.8527 0.1322  4 Ba 3.15-3.50, 2 O 3.41-3.49, 1 Cl 3.51
Cl 0.8527 0.7958 0.6322  4 Ba 3.15-3.50, 2 O 3.41-3.49, 1 Cl 3.51
Cl 0.9814 0.2820 0.0494  3 Ba 3.05-3.20
O 0.2352 0.5227 0.7854  1 Si 1.65
O 0.4018 0.4427 0.6328  1 Si 1.63
O 0.4427 0.4018 0.1328  1 Si 1.63
O 0.4773 0.7648 0.7146  1 Si 1.65
O 0.5227 0.2352 0.2854  1 Si 1.65
O 0.5573 0.5982 0.8672  1 Si 1.63
O 0.5982 0.5573 0.3672  1 Si 1.63
O 0.7648 0.4773 0.2146  1 Si 1.65

Computed properties:
electronic total energy: -500.113 eV for the cell shown
volume: 25.304 Å³ per atom
SG: C2/c
total magnetization: 0.0 μB per formula unit


No. 4
## BaPdCl4 (r²SCAN)

Data for a relaxed BaPdCl4 crystal.

a = 6.9365 Å, b = 12.6407 Å, c = 7.5721 Å
α = 90.00°, β = 90.00°, γ = 90.00°
Last column: nearest neighbours and their distance in Å.
Positions (direct):
Ba 0.0000 0.1481 0.2500  8 Cl 3.19-3.23
Ba 0.0000 0.8519 0.7500  8 Cl 3.19-3.23
Ba 0.5000 0.3519 0.7500  8 Cl 3.19-3.23
Ba 0.5000 0.6481 0.2500  8 Cl 3.19-3.23
Pd 0.0000 0.5000 0.0000  4 Cl 2.31-2.32
Pd 0.0000 0.5000 0.5000  4 Cl 2.31-2.32
Pd 0.5000 0.0000 0.0000  4 Cl 2.31-2.32
Pd 0.5000 0.0000 0.5000  4 Cl 2.31-2.32
Cl 0.1110 0.3281 0.5290  1 Pd 2.32
Cl 0.1110 0.6719 0.0290  1 Pd 2.32
Cl 0.2074 0.0632 0.6017  1 Pd 2.31
Cl 0.2074 0.9368 0.1017  1 Pd 2.31
Cl 0.2926 0.4368 0.1017  1 Pd 2.31
Cl 0.2926 0.5632 0.6017  1 Pd 2.31
Cl 0.3890 0.1719 0.0290  1 Pd 2.32
Cl 0.3890 0.8281 0.5290  1 Pd 2.32
Cl 0.6110 0.1719 0.4710  1 Pd 2.32
Cl 0.6110 0.8281 0.9710  1 Pd 2.32
Cl 0.7074 0.4368 0.3983  1 Pd 2.31
Cl 0.7074 0.5632 0.8983  1 Pd 2.31
Cl 0.7926 0.0632 0.8983  1 Pd 2.31
Cl 0.7926 0.9368 0.3983  1 Pd 2.31
Cl 0.8890 0.3281 0.9710  1 Pd 2.32
Cl 0.8890 0.6719 0.4710  1 Pd 2.32

Computed properties:
electronic total energy: -336.858 eV for the cell shown
volume: 27.664 Å³ per atom
SG: Pbcn
total magnetization: 0.0 μB per formula unit